1.
## LiBC (meta-GGA r2SCAN)

Data for a geometry-optimized LiBC structure.

abc: 2.738 2.738 6.974
angles: 90.00 90.00 120.00
Fractional positions:
1 Li 0.000 0.000 0.000
2 Li 0.000 0.000 0.500
3 B 0.333 0.667 0.250
4 B 0.667 0.333 0.750
5 C 0.333 0.667 0.750
6 C 0.667 0.333 0.250



2.
## Ho3Er (meta-GGA r2SCAN)

Data for a geometry-optimized Ho3Er structure.

abc: 4.986 4.986 4.986
angles: 90.00 90.00 90.00
Fractional positions:
1 Ho 0.000 0.000 0.500
2 Ho 0.000 0.500 0.000
3 Ho 0.500 0.000 0.000
4 Er 0.500 0.500 0.500

Distance to the lowest polymorph of the same formula, meV per atom: 48



3.
## Mg4As6Ir7 (meta-GGA r2SCAN)

Data for a geometry-optimized Mg4As6Ir7 structure.

abc: 7.034 7.034 7.034
angles: 109.47 109.47 109.47
Fractional positions:
1 Mg 0.000 0.000 0.500
2 Mg 0.000 0.500 0.000
3 Mg 0.500 0.000 0.000
4 Mg 0.500 0.500 0.500
5 As 0.000 0.314 0.314
6 As 0.000 0.686 0.686
7 As 0.314 0.000 0.314
8 As 0.314 0.314 0.000
9 As 0.686 0.000 0.686
10 As 0.686 0.686 0.000
11 Ir 0.000 0.000 0.000
12 Ir 0.250 0.500 0.750
13 Ir 0.250 0.750 0.500
14 Ir 0.500 0.250 0.750
15 Ir 0.500 0.750 0.250
16 Ir 0.750 0.250 0.500
17 Ir 0.750 0.500 0.250



4.
## NbGeIr (meta-GGA r2SCAN)

Data for a geometry-optimized NbGeIr structure.

abc: 6.506 3.895 7.426
angles: 90.00 90.00 90.00
Fractional positions:
1 Nb 0.026 0.250 0.177
2 Nb 0.474 0.750 0.677
3 Nb 0.526 0.250 0.323
4 Nb 0.974 0.750 0.823
5 Ge 0.239 0.750 0.377
6 Ge 0.261 0.250 0.877
7 Ge 0.739 0.750 0.123
8 Ge 0.761 0.250 0.623
9 Ir 0.143 0.250 0.562
10 Ir 0.357 0.750 0.062
11 Ir 0.643 0.250 0.938
12 Ir 0.857 0.750 0.438



5.
## Dy2NiB10 (meta-GGA r2SCAN)

Data for a geometry-optimized Dy2NiB10 structure.

abc: 5.529 11.047 4.135
angles: 90.00 90.00 90.00
Fractional positions:
1 Dy 0.185 0.138 0.000
2 Dy 0.315 0.638 0.000
3 Dy 0.685 0.362 0.000
4 Dy 0.815 0.862 0.000
5 Ni 0.000 0.500 0.500
6 Ni 0.500 0.000 0.500
7 B 0.027 0.314 0.500
8 B 0.127 0.959 0.500
9 B 0.161 0.801 0.500
10 B 0.200 0.386 0.199
11 B 0.200 0.386 0.801
12 B 0.300 0.886 0.199
13 B 0.300 0.886 0.801
14 B 0.339 0.301 0.500
15 B 0.373 0.459 0.500
16 B 0.473 0.814 0.500
17 B 0.527 0.186 0.500
18 B 0.627 0.541 0.500
19 B 0.661 0.699 0.500
20 B 0.700 0.114 0.199
21 B 0.700 0.114 0.801
22 B 0.800 0.614 0.199
23 B 0.800 0.614 0.801
24 B 0.839 0.199 0.500
25 B 0.873 0.041 0.500
26 B 0.973 0.686 0.500



6.
## Cs5Nb2S4Cl9 (meta-GGA r2SCAN)

Data for a geometry-optimized Cs5Nb2S4Cl9 structure.

abc: 10.430 10.430 10.430
angles: 138.93 119.75 75.52
Fractional positions:
1 Cs 0.000 0.000 0.000
2 Cs 0.057 0.336 0.721
3 Cs 0.385 0.664 0.721
4 Cs 0.615 0.336 0.279
5 Cs 0.943 0.664 0.279
6 Nb 0.411 0.911 0.500
7 Nb 0.589 0.089 0.500
8 S 0.404 0.244 0.648
9 S 0.404 0.756 0.161
10 S 0.596 0.244 0.839
11 S 0.596 0.756 0.352
12 Cl 0.000 0.500 0.500
13 Cl 0.127 0.871 0.256
14 Cl 0.298 0.035 0.737
15 Cl 0.298 0.561 0.263
16 Cl 0.385 0.129 0.256
17 Cl 0.615 0.871 0.744
18 Cl 0.702 0.439 0.737
19 Cl 0.702 0.965 0.263
20 Cl 0.873 0.129 0.744



Number 1: ΔE_f -0.469 eV per atom, spin magnetization 0.0 μB per formula unit. Number 2: ΔE_f 0.054 eV per atom, spin magnetization 0.1 μB per formula unit. Number 3: ΔE_f -0.516 eV per atom, spin magnetization 0.0 μB per formula unit. Number 4: ΔE_f -0.594 eV per atom, spin magnetization 0.0 μB per formula unit. Number 5: ΔE_f -0.575 eV per atom, spin magnetization 0.0 μB per formula unit. Number 6: ΔE_f -1.702 eV per atom, spin magnetization 0.0 μB per formula unit.